# 1
# LiVP4H12O18

A relaxed LiVP4H12O18 crystal (PBE+U, the Materials Project database).

Output
V = 718.3 Å³ per cell
formation energy from the elements = -6710 kJ/mol of formula units

Lattice parameters (Å, degrees): 7.349 7.349 14.246 86.00 86.00 109.86
Sites, in units of the cell vectors:
Li 0.466 0.534 0.250
Li 0.534 0.466 0.750
V 0.864 0.136 0.250
V 0.136 0.864 0.750
P 0.983 0.812 0.404
P 0.812 0.983 0.904
P 0.798 0.719 0.077
P 0.719 0.798 0.577
P 0.281 0.202 0.423
P 0.202 0.281 0.923
P 0.188 0.017 0.096
P 0.017 0.188 0.596
H 0.482 0.995 0.230
H 0.995 0.482 0.730
H 0.517 0.873 0.322
H 0.873 0.517 0.822
H 0.891 0.382 0.387
H 0.382 0.891 0.887
H 0.466 0.688 0.435
H 0.688 0.466 0.935
H 0.348 0.722 0.120
H 0.770 0.328 0.099
H 0.722 0.348 0.620
H 0.328 0.770 0.599
H 0.672 0.230 0.401
H 0.278 0.652 0.380
H 0.230 0.672 0.901
H 0.652 0.278 0.880
H 0.312 0.534 0.065
H 0.534 0.312 0.565
H 0.618 0.109 0.113
H 0.109 0.618 0.613
H 0.127 0.483 0.178
H 0.483 0.127 0.678
H 0.005 0.518 0.270
H 0.518 0.005 0.770
O 0.886 0.913 0.340
O 0.913 0.886 0.840
O 0.720 0.735 0.175
O 0.735 0.720 0.675
O 0.723 0.849 0.002
O 0.849 0.723 0.502
O 0.568 0.006 0.282
O 0.006 0.568 0.782
O 0.354 0.961 0.130
O 0.755 0.522 0.042
O 0.961 0.354 0.630
O 0.522 0.755 0.542
O 0.419 0.671 0.371
O 0.174 0.967 0.438
O 0.671 0.419 0.871
O 0.967 0.174 0.938
O 0.810 0.249 0.375
O 0.249 0.810 0.875
O 0.751 0.190 0.125
O 0.190 0.751 0.625
O 0.033 0.826 0.062
O 0.329 0.581 0.129
O 0.826 0.033 0.562
O 0.581 0.329 0.629
O 0.478 0.245 0.458
O 0.039 0.646 0.370
O 0.245 0.478 0.958
O 0.646 0.039 0.870
O 0.994 0.432 0.218
O 0.432 0.994 0.718
O 0.151 0.277 0.498
O 0.277 0.151 0.998
O 0.265 0.280 0.325
O 0.280 0.265 0.825
O 0.087 0.114 0.160
O 0.114 0.087 0.660



# 2
# Li3VP2H2O9

A relaxed Li3VP2H2O9 crystal (PBE+U, the Materials Project database).

Output
V = 358.0 Å³ per cell
formation energy from the elements = -4027 kJ/mol of formula units

Lattice parameters (Å, degrees): 8.086 8.086 6.874 85.99 85.99 53.04
Sites, in units of the cell vectors:
Li 0.377 0.377 0.698
Li 0.000 0.500 0.500
Li 0.500 0.000 0.500
Li 0.623 0.623 0.302
Li 0.751 0.249 0.000
Li 0.249 0.751 0.000
V 0.500 0.000 0.000
V 0.000 0.500 0.000
P 0.881 0.881 0.691
P 0.393 0.393 0.237
P 0.607 0.607 0.763
P 0.119 0.119 0.309
H 0.946 0.946 0.368
H 0.810 0.810 0.216
H 0.190 0.190 0.784
H 0.054 0.054 0.632
O 0.976 0.976 0.774
O 0.499 0.499 0.237
O 0.884 0.884 0.460
O 0.647 0.005 0.747
O 0.005 0.647 0.747
O 0.337 0.337 0.437
O 0.546 0.189 0.119
O 0.189 0.546 0.119
O 0.243 0.243 0.866
O 0.757 0.757 0.134
O 0.811 0.454 0.881
O 0.454 0.811 0.881
O 0.663 0.663 0.563
O 0.353 0.995 0.253
O 0.995 0.353 0.253
O 0.116 0.116 0.540
O 0.501 0.501 0.763
O 0.024 0.024 0.226



# 3
# Li3VSi4H2O12

A relaxed Li3VSi4H2O12 crystal (PBE+U, the Materials Project database).

Output
V = 507.5 Å³ per cell
relative energy among the computed polymorphs = 15 meV per atom
formation energy from the elements = -5792 kJ/mol of formula units

Lattice parameters (Å, degrees): 7.543 8.250 9.116 116.08 94.85 89.25
Sites, in units of the cell vectors:
Li 0.834 0.264 0.105
Li 0.680 0.127 0.390
Li 0.660 0.638 0.869
Li 0.340 0.362 0.131
Li 0.320 0.873 0.610
Li 0.166 0.736 0.895
V 0.000 0.500 0.000
V 0.500 0.000 0.000
Si 0.889 0.923 0.156
Si 0.773 0.698 0.318
Si 0.731 0.891 0.688
Si 0.600 0.259 0.821
Si 0.400 0.741 0.179
Si 0.269 0.109 0.312
Si 0.227 0.302 0.682
Si 0.111 0.077 0.844
H 0.884 0.396 0.625
H 0.806 0.453 0.490
H 0.194 0.547 0.510
H 0.116 0.604 0.375
O 0.906 0.733 0.998
O 0.900 0.534 0.219
O 0.919 0.970 0.798
O 0.834 0.891 0.318
O 0.799 0.358 0.527
O 0.777 0.731 0.510
O 0.739 0.060 0.143
O 0.768 0.397 0.872
O 0.632 0.059 0.660
O 0.565 0.648 0.242
O 0.603 0.818 0.780
O 0.452 0.777 0.026
O 0.548 0.223 0.974
O 0.397 0.182 0.220
O 0.435 0.352 0.758
O 0.368 0.941 0.340
O 0.232 0.603 0.128
O 0.261 0.940 0.857
O 0.223 0.269 0.490
O 0.201 0.642 0.473
O 0.166 0.109 0.682
O 0.081 0.030 0.202
O 0.100 0.466 0.781
O 0.094 0.267 0.002



# 4
# LiVSi4H2O12

A relaxed LiVSi4H2O12 crystal (PBE+U, the Materials Project database).

Output
V = 494.3 Å³ per cell
relative energy among the computed polymorphs = 0 meV per atom
formation energy from the elements = -5178 kJ/mol of formula units

Lattice parameters (Å, degrees): 7.355 8.151 9.303 62.43 88.93 88.60
Sites, in units of the cell vectors:
Li 0.372 0.394 0.818
Li 0.628 0.606 0.182
V 0.000 0.500 0.000
V 0.500 0.000 0.000
Si 0.125 0.054 0.177
Si 0.250 0.293 0.313
Si 0.247 0.110 0.685
Si 0.389 0.725 0.842
Si 0.611 0.275 0.158
Si 0.753 0.890 0.315
Si 0.750 0.707 0.687
Si 0.875 0.946 0.823
H 0.106 0.559 0.656
H 0.219 0.512 0.533
H 0.781 0.488 0.467
H 0.894 0.441 0.344
O 0.088 0.440 0.213
O 0.037 0.097 0.747
O 0.213 0.091 0.321
O 0.049 0.257 0.039
O 0.230 0.542 0.622
O 0.256 0.273 0.496
O 0.277 0.963 0.104
O 0.241 0.561 0.915
O 0.310 0.913 0.691
O 0.450 0.366 0.227
O 0.383 0.156 0.798
O 0.530 0.219 0.024
O 0.470 0.781 0.976
O 0.617 0.844 0.202
O 0.550 0.634 0.773
O 0.690 0.087 0.309
O 0.759 0.439 0.085
O 0.723 0.037 0.896
O 0.744 0.727 0.504
O 0.770 0.458 0.378
O 0.951 0.743 0.961
O 0.787 0.909 0.679
O 0.963 0.903 0.253
O 0.912 0.560 0.787



# 5
# Li3VSi4H2O12

A relaxed Li3VSi4H2O12 crystal (PBE+U, the Materials Project database).

Output
V = 509.8 Å³ per cell
relative energy among the computed polymorphs = 0 meV per atom
formation energy from the elements = -5823 kJ/mol of formula units

Lattice parameters (Å, degrees): 7.538 8.107 9.213 64.99 87.60 89.09
Sites, in units of the cell vectors:
Li 0.089 0.733 0.150
Li 0.384 0.781 0.332
Li 0.329 0.350 0.891
Li 0.671 0.650 0.109
Li 0.616 0.219 0.668
Li 0.911 0.267 0.850
V 0.000 0.500 0.000
V 0.500 0.000 0.000
Si 0.121 0.062 0.166
Si 0.238 0.306 0.315
Si 0.250 0.111 0.687
Si 0.395 0.733 0.821
Si 0.605 0.267 0.179
Si 0.750 0.889 0.313
Si 0.762 0.694 0.685
Si 0.879 0.938 0.834
H 0.174 0.629 0.593
H 0.218 0.492 0.515
H 0.782 0.508 0.485
H 0.826 0.371 0.407
O 0.081 0.248 0.010
O 0.110 0.472 0.211
O 0.052 0.077 0.774
O 0.181 0.111 0.313
O 0.234 0.618 0.501
O 0.226 0.275 0.505
O 0.267 0.927 0.136
O 0.237 0.584 0.879
O 0.326 0.926 0.676
O 0.448 0.350 0.260
O 0.385 0.183 0.780
O 0.519 0.222 0.040
O 0.481 0.778 0.960
O 0.615 0.817 0.220
O 0.552 0.650 0.740
O 0.674 0.074 0.324
O 0.763 0.416 0.121
O 0.733 0.073 0.864
O 0.774 0.725 0.495
O 0.766 0.382 0.499
O 0.819 0.889 0.687
O 0.948 0.923 0.226
O 0.890 0.528 0.789
O 0.919 0.752 0.990



# 6
# LiVSi4H2O12

A relaxed LiVSi4H2O12 crystal (PBE+U, the Materials Project database).

Output
V = 493.5 Å³ per cell
relative energy among the computed polymorphs = 22 meV per atom
formation energy from the elements = -5136 kJ/mol of formula units

Lattice parameters (Å, degrees): 7.400 8.277 9.050 116.87 92.32 91.44
Sites, in units of the cell vectors:
Li 0.346 0.770 0.145
Li 0.654 0.230 0.855
V 0.000 0.500 0.000
V 0.500 0.000 0.000
Si 0.121 0.762 0.832
Si 0.236 0.387 0.684
Si 0.260 0.202 0.312
Si 0.396 0.431 0.176
Si 0.604 0.569 0.824
Si 0.740 0.798 0.688
Si 0.764 0.613 0.316
Si 0.879 0.238 0.168
H 0.109 0.776 0.380
H 0.198 0.960 0.508
H 0.802 0.040 0.492
H 0.891 0.224 0.620
O 0.090 0.341 0.791
O 0.063 0.165 0.212
O 0.181 0.573 0.675
O 0.096 0.705 0.983
O 0.217 0.830 0.453
O 0.233 0.218 0.497
O 0.277 0.923 0.887
O 0.225 0.507 0.111
O 0.350 0.396 0.334
O 0.442 0.409 0.770
O 0.389 0.037 0.203
O 0.534 0.759 0.969
O 0.466 0.241 0.031
O 0.611 0.963 0.797
O 0.558 0.591 0.230
O 0.650 0.604 0.666
O 0.775 0.493 0.889
O 0.723 0.077 0.113
O 0.767 0.782 0.503
O 0.783 0.170 0.547
O 0.904 0.295 0.017
O 0.819 0.427 0.325
O 0.937 0.835 0.788
O 0.910 0.659 0.209



# 7
# Li3VH12O10

A relaxed Li3VH12O10 crystal (PBE+U, the Materials Project database).

Output
V = 240.1 Å³ per cell
formation energy from the elements = -4138 kJ/mol of formula units

Lattice parameters (Å, degrees): 6.338 6.338 6.338 100.47 100.47 100.47
Sites, in units of the cell vectors:
Li 0.959 0.815 0.551
Li 0.815 0.551 0.959
Li 0.551 0.959 0.815
V 0.340 0.340 0.340
H 0.559 0.790 0.437
H 0.790 0.437 0.559
H 0.437 0.559 0.790
H 0.656 0.047 0.481
H 0.047 0.481 0.656
H 0.481 0.656 0.047
H 0.054 0.898 0.203
H 0.898 0.203 0.054
H 0.203 0.054 0.898
H 0.150 0.691 0.252
H 0.691 0.252 0.150
H 0.252 0.150 0.691
O 0.263 0.373 0.593
O 0.373 0.593 0.263
O 0.593 0.263 0.373
O 0.141 0.141 0.141
O 0.674 0.914 0.543
O 0.914 0.543 0.674
O 0.543 0.674 0.914
O 0.010 0.749 0.238
O 0.749 0.238 0.010
O 0.238 0.010 0.749



# 8
# MgMnHO2

A relaxed MgMnHO2 crystal (PBE+U, the Materials Project database).

Output
V = 63.3 Å³ per cell
formation energy from the elements = -785 kJ/mol of formula units

Lattice parameters (Å, degrees): 3.185 3.260 7.180 101.45 90.00 119.26
Sites, in units of the cell vectors:
Mg 0.842 0.589 0.344
Mn 0.044 0.994 0.987
H 0.638 0.183 0.706
O 0.676 0.257 0.848
O 0.470 0.846 0.200



# 9
# MgMnVP2H2O10

A relaxed MgMnVP2H2O10 crystal (PBE+U, the Materials Project database).

Output
V = 183.5 Å³ per cell
relative energy among the computed polymorphs = 35 meV per atom
formation energy from the elements = -3963 kJ/mol of formula units

Lattice parameters (Å, degrees): 5.494 7.281 5.282 110.42 98.07 106.16
Sites, in units of the cell vectors:
Mg 0.414 0.747 0.752
Mn 0.035 0.012 0.006
V 0.012 0.488 0.001
P 0.391 0.242 0.664
P 0.654 0.752 0.333
H 0.838 0.264 0.262
H 0.947 0.656 0.656
O 0.070 0.727 0.848
O 0.273 0.422 0.745
O 0.358 0.643 0.319
O 0.257 0.079 0.359
O 0.352 0.121 0.851
O 0.669 0.858 0.128
O 0.749 0.905 0.651
O 0.688 0.346 0.687
O 0.814 0.605 0.289
O 0.953 0.263 0.135



# 10
# MgMnVP2H2O10

A relaxed MgMnVP2H2O10 crystal (PBE+U, the Materials Project database).

Output
V = 182.7 Å³ per cell
relative energy among the computed polymorphs = 0 meV per atom
formation energy from the elements = -4021 kJ/mol of formula units

Lattice parameters (Å, degrees): 5.446 7.437 5.232 111.27 95.20 108.08
Sites, in units of the cell vectors:
Mg 0.506 0.003 0.995
Mn 0.006 0.002 0.995
V 0.006 0.502 0.995
P 0.361 0.256 0.633
P 0.650 0.748 0.357
H 0.968 0.310 0.322
H 0.044 0.694 0.668
O 0.119 0.760 0.876
O 0.157 0.365 0.667
O 0.360 0.598 0.251
O 0.320 0.131 0.306
O 0.303 0.103 0.774
O 0.709 0.901 0.215
O 0.691 0.874 0.683
O 0.652 0.406 0.738
O 0.855 0.640 0.322
O 0.893 0.244 0.114



# 11
# MgMo2H4O8

A relaxed MgMo2H4O8 crystal (PBE+U, the Materials Project database).

Output
V = 173.4 Å³ per cell
formation energy from the elements = -2486 kJ/mol of formula units

Lattice parameters (Å, degrees): 7.910 6.585 3.899 100.82 90.64 118.93
Sites, in units of the cell vectors:
Mg 0.529 0.113 0.816
Mo 0.816 0.965 0.727
Mo 0.171 0.021 0.261
H 0.848 0.530 0.684
H 0.179 0.478 0.248
H 0.640 0.446 0.478
H 0.364 0.560 0.516
O 0.543 0.812 0.715
O 0.464 0.175 0.329
O 0.127 0.055 0.769
O 0.882 0.954 0.227
O 0.824 0.248 0.801
O 0.130 0.732 0.159
O 0.764 0.590 0.609
O 0.243 0.415 0.378



Number 1: theoretical density 2.228 g/cm³. Number 2: theoretical density 2.595 g/cm³. Number 3: theoretical density 2.474 g/cm³. Number 4: theoretical density 2.447 g/cm³. Number 5: theoretical density 2.463 g/cm³. Number 6: theoretical density 2.451 g/cm³. Number 7: theoretical density 1.687 g/cm³. Number 8: theoretical density 2.944 g/cm³. Number 9: theoretical density 3.205 g/cm³. Number 10: theoretical density 3.219 g/cm³. Number 11: theoretical density 3.336 g/cm³.